Entry 1:
# Os3C9SO9

A relaxed Os3C9SO9 crystal (PBE, the Materials Project).

abc: 9.2907 12.1771 14.8357
angles: 89.67 78.15 82.75
Last column: nearest neighbours and their distance in Å.
Atoms (fractional coordinates):
Os  0.0518  0.1689  0.1166  3 C 1.89-1.91
Os  0.0564  0.9993  0.2716  3 C 1.88-1.91
Os  0.2000  0.5568  0.6702  3 C 1.88-1.92
Os  0.2390  0.8873  0.6833  3 C 1.89-2.09
Os  0.3862  0.4662  0.7955  4 C 1.91-1.96
Os  0.4019  0.6969  0.7425  3 C 1.86-2.08
Os  0.5981  0.3031  0.2575  3 C 1.86-2.08
Os  0.6138  0.5338  0.2045  4 C 1.91-1.96
Os  0.7610  0.1127  0.3167  3 C 1.89-2.09
Os  0.8000  0.4432  0.3298  3 C 1.88-1.92
Os  0.9436  0.0007  0.7284  3 C 1.88-1.91
Os  0.9482  0.8311  0.8834  3 C 1.89-1.91
C  0.0010  0.8667  0.3245  1 O 1.16
C  0.0352  0.7940  0.9862  1 O 1.16
C  0.0452  0.4787  0.7275  1 O 1.16
C  0.1008  0.6147  0.5754  1 O 1.16
C  0.1116  0.0485  0.3802  1 O 1.16
C  0.1720  0.2866  0.1017  1 O 1.16
C  0.2126  0.0745  0.0445  1 O 1.16
C  0.2194  0.5268  0.8922  1 O 1.16
C  0.2478  0.9270  0.2141  1 O 1.16
C  0.2610  0.8426  0.5586  1 O 1.16
C  0.2957  0.4363  0.5899  1 O 1.16
C  0.3078  0.0209  0.6366  1 O 1.16
C  0.3190  0.3240  0.8065  1 O 1.16
C  0.3911  0.3463  0.3001  1 O 1.16
C  0.4269  0.7336  0.8595  1 O 1.16
C  0.4562  0.5755  0.3128  1 O 1.16
C  0.4560  0.8530  0.7028  1 O 1.19
C  0.4746  0.5589  0.1245  1 O 1.16
C  0.5254  0.4411  0.8755  1 O 1.16
C  0.5440  0.1470  0.2972  1 O 1.19
C  0.5438  0.4245  0.6872  1 O 1.16
C  0.5731  0.2664  0.1405  1 O 1.16
C  0.6089  0.6537  0.6999  1 O 1.16
C  0.6810  0.6760  0.1935  1 O 1.16
C  0.6922  0.9791  0.3634  1 O 1.16
C  0.7043  0.5637  0.4101  1 O 1.16
C  0.7390  0.1574  0.4414  1 O 1.16
C  0.7522  0.0730  0.7859  1 O 1.16
C  0.7806  0.4732  0.1078  1 O 1.16
C  0.7874  0.9255  0.9555  1 O 1.16
C  0.8280  0.7134  0.8983  1 O 1.16
C  0.8884  0.9515  0.6198  1 O 1.16
C  0.8992  0.3853  0.4246  1 O 1.16
C  0.9548  0.5213  0.2725  1 O 1.16
C  0.9648  0.2060  0.0138  1 O 1.16
C  0.9990  0.1333  0.6755  1 O 1.16
S  0.1048  0.9742  0.8322  3 Os 2.35-2.47
S  0.1356  0.7280  0.7603  4 Os 2.41-2.47
S  0.8644  0.2720  0.2397  4 Os 2.41-2.47
S  0.8952  0.0258  0.1678  3 Os 2.35-2.47
O  0.0309  0.2190  0.6491  1 C 1.16
O  0.0373  0.6385  0.5170  1 C 1.16
O  0.0520  0.5679  0.2362  1 C 1.16
O  0.0864  0.7778  0.0508  1 C 1.16
O  0.1207  0.5585  0.9513  1 C 1.16
O  0.1356  0.0802  0.4487  1 C 1.16
O  0.2418  0.3602  0.0907  1 C 1.16
O  0.2626  0.3639  0.3232  1 C 1.16
O  0.2698  0.8204  0.4813  1 C 1.16
O  0.2750  0.2385  0.8153  1 C 1.16
O  0.3132  0.0225  0.9979  1 C 1.16
O  0.3463  0.3642  0.5374  1 C 1.16
O  0.3578  0.0987  0.6048  1 C 1.16
O  0.3598  0.6002  0.3749  1 C 1.16
O  0.3606  0.8738  0.1845  1 C 1.16
O  0.3896  0.5766  0.0773  1 C 1.16
O  0.4394  0.0985  0.3030  1 C 1.19
O  0.4400  0.7636  0.9314  1 C 1.16
O  0.5600  0.2364  0.0686  1 C 1.16
O  0.5606  0.9015  0.6970  1 C 1.19
O  0.6104  0.4234  0.9227  1 C 1.16
O  0.6394  0.1262  0.8155  1 C 1.16
O  0.6402  0.3998  0.6251  1 C 1.16
O  0.6422  0.9013  0.3952  1 C 1.16
O  0.6537  0.6358  0.4626  1 C 1.16
O  0.6868  0.9775  0.0021  1 C 1.16
O  0.7250  0.7615  0.1847  1 C 1.16
O  0.7302  0.1796  0.5187  1 C 1.16
O  0.7374  0.6361  0.6768  1 C 1.16
O  0.7582  0.6398  0.9093  1 C 1.16
O  0.8644  0.9198  0.5513  1 C 1.16
O  0.8793  0.4415  0.0487  1 C 1.16
O  0.9136  0.2222  0.9492  1 C 1.16
O  0.9480  0.4321  0.7638  1 C 1.16
O  0.9627  0.3615  0.4830  1 C 1.16
O  0.9691  0.7810  0.3509  1 C 1.16

## Properties
MP2020-corrected energy   -8.42 eV per atom
Formation enthalpy at 0 K   -0.903 eV/atom

Entry 2:
# Sb2P2C2O7

A relaxed Sb2P2C2O7 crystal (PBE, the Materials Project).

abc: 5.0100 17.6493 10.8185
angles: 90.00 94.72 90.00
Last column: nearest neighbours and their distance in Å.
Atoms (fractional coordinates):
Sb  0.1031  0.1852  0.3479  3 O 1.97-2.20
Sb  0.1031  0.3148  0.8479  3 O 1.97-2.20
Sb  0.1636  0.0989  0.0624  3 O 1.97-2.17
Sb  0.1636  0.4011  0.5624  3 O 1.97-2.17
Sb  0.8364  0.5989  0.4376  3 O 1.97-2.17
Sb  0.8364  0.9011  0.9376  3 O 1.97-2.17
Sb  0.8969  0.6852  0.1521  3 O 1.97-2.20
Sb  0.8969  0.8148  0.6521  3 O 1.97-2.20
P  0.2805  0.5402  0.2353  3 O 1.53-1.55
P  0.2805  0.9598  0.7353  3 O 1.53-1.55
P  0.3774  0.6754  0.6412  3 O 1.53-1.55
P  0.3774  0.8246  0.1412  3 O 1.53-1.55
P  0.6226  0.1754  0.8588  3 O 1.53-1.55
P  0.6226  0.3246  0.3588  3 O 1.53-1.55
P  0.7195  0.0402  0.2647  3 O 1.53-1.55
P  0.7195  0.4598  0.7647  3 O 1.53-1.55
C  0.3868  0.0531  0.7068  1 C 1.23
C  0.3868  0.4469  0.2068  1 C 1.23
C  0.4935  0.6112  0.7598  1 C 1.23
C  0.4935  0.8888  0.2598  1 C 1.23
C  0.5065  0.1112  0.7402  1 C 1.23
C  0.5065  0.3888  0.2402  1 C 1.23
C  0.6132  0.5531  0.7932  1 C 1.23
C  0.6132  0.9469  0.2932  1 C 1.23
O  0.0881  0.1873  0.1654  2 Sb 1.97
O  0.0881  0.3127  0.6654  2 Sb 1.97
O  0.1112  0.5784  0.1273  1 P 1.54
O  0.1112  0.9216  0.6273  1 P 1.54
O  0.1131  0.5293  0.3487  1 P 1.55
O  0.1131  0.9707  0.8487  1 P 1.55
O  0.1988  0.6262  0.5529  1 P 1.53
O  0.1988  0.8738  0.0529  1 P 1.53
O  0.2319  0.7450  0.6906  1 P 1.55
O  0.2319  0.7550  0.1906  1 P 1.55
O  0.3620  0.1999  0.9129  1 P 1.54
O  0.3620  0.3001  0.4129  1 P 1.54
O  0.4575  0.0841  0.2356  1 P 1.53
O  0.4575  0.4159  0.7356  1 P 1.53
O  0.5425  0.5841  0.2644  1 P 1.53
O  0.5425  0.9159  0.7644  1 P 1.53
O  0.6380  0.6999  0.5871  1 P 1.54
O  0.6380  0.8001  0.0871  1 P 1.54
O  0.7681  0.2450  0.8094  1 P 1.55
O  0.7681  0.2550  0.3094  1 P 1.55
O  0.8012  0.1262  0.9471  1 P 1.53
O  0.8012  0.3738  0.4471  1 P 1.53
O  0.8869  0.0293  0.1513  1 P 1.55
O  0.8869  0.4707  0.6513  1 P 1.55
O  0.8888  0.0784  0.3727  1 P 1.54
O  0.8888  0.4216  0.8727  1 P 1.54
O  0.9119  0.6873  0.3346  2 Sb 1.97
O  0.9119  0.8127  0.8346  2 Sb 1.97

## Properties
MP2020-corrected energy   -7.15 eV per atom
Formation enthalpy at 0 K   -1.597 eV/atom

Entry 3:
# Sn2PCO6

A relaxed Sn2PCO6 crystal (PBE, the Materials Project).

abc: 4.8277 6.0334 22.7456
angles: 90.00 94.88 90.00
Last column: nearest neighbours and their distance in Å.
Atoms (fractional coordinates):
Sn  0.2382  0.1293  0.0699  2 O 2.12-2.33
Sn  0.2382  0.3707  0.5699  2 O 2.12-2.33
Sn  0.2491  0.6501  0.1840  3 O 2.16-2.24
Sn  0.2491  0.8499  0.6840  3 O 2.16-2.24
Sn  0.7509  0.1501  0.3160  3 O 2.16-2.24
Sn  0.7509  0.3499  0.8160  3 O 2.16-2.24
Sn  0.7618  0.6293  0.4301  2 O 2.12-2.33
Sn  0.7618  0.8707  0.9301  2 O 2.12-2.33
P  0.2266  0.7358  0.8275  4 O 1.55-1.58
P  0.2266  0.7642  0.3275  4 O 1.55-1.58
P  0.7734  0.2358  0.6725  4 O 1.55-1.58
P  0.7734  0.2642  0.1725  4 O 1.55-1.58
C  0.4378  0.5841  0.0210  2 O 1.26-1.27
C  0.4378  0.9159  0.5210  2 O 1.26-1.27
C  0.5622  0.0841  0.4790  2 O 1.26-1.27
C  0.5622  0.4159  0.9790  2 O 1.26-1.27
O  0.0891  0.1924  0.6632  1 P 1.58
O  0.0891  0.3076  0.1632  1 P 1.58
O  0.2545  0.5931  0.2777  1 P 1.55
O  0.2545  0.9069  0.7777  1 P 1.55
O  0.2703  0.5111  0.0566  1 C 1.27
O  0.2703  0.9889  0.5566  1 C 1.27
O  0.3474  0.5058  0.8131  1 P 1.55
O  0.3474  0.9942  0.3130  1 P 1.55
O  0.3571  0.6653  0.3865  1 P 1.55
O  0.3571  0.8347  0.8865  1 P 1.55
O  0.4892  0.2159  0.9832  1 C 1.26
O  0.4892  0.2841  0.4832  1 C 1.26
O  0.5108  0.7159  0.5168  1 C 1.26
O  0.5108  0.7841  0.0168  1 C 1.26
O  0.6429  0.1653  0.1135  1 P 1.55
O  0.6429  0.3347  0.6135  1 P 1.55
O  0.6526  0.0058  0.6869  1 P 1.55
O  0.6526  0.4942  0.1870  1 P 1.55
O  0.7297  0.0111  0.4434  1 C 1.27
O  0.7297  0.4889  0.9434  1 C 1.27
O  0.7455  0.0931  0.2223  1 P 1.55
O  0.7455  0.4069  0.7223  1 P 1.55
O  0.9109  0.6924  0.8368  1 P 1.58
O  0.9109  0.8076  0.3368  1 P 1.58

## Properties
MP2020-corrected energy   -7.28 eV per atom
Formation enthalpy at 0 K   -2.049 eV/atom

Entry 4:
# ZrP2CO6

A relaxed ZrP2CO6 crystal (PBE, the Materials Project).

abc: 5.1435 8.2927 7.6905
angles: 90.00 103.63 90.00
Last column: nearest neighbours and their distance in Å.
Atoms (fractional coordinates):
Zr  0.2058  0.0000  0.2300  6 O 2.09-2.12
Zr  0.7942  0.5000  0.7700  6 O 2.09-2.12
P  0.2487  0.2601  0.6046  3 O 1.54
P  0.3933  0.6730  0.0110  3 O 1.53-1.54
P  0.6067  0.1730  0.9890  3 O 1.53-1.54
P  0.7513  0.7601  0.3954  3 O 1.54
C  0.4226  0.1278  0.7714  2 P 1.76
C  0.5774  0.6278  0.2286  2 P 1.76
O  0.0047  0.8176  0.3411  1 P 1.54
O  0.1642  0.5542  0.9422  1 P 1.53
O  0.1764  0.1703  0.4246  1 P 1.54
O  0.2825  0.8430  0.0312  1 P 1.54
O  0.4090  0.1740  0.1119  1 P 1.54
O  0.4407  0.4029  0.6034  1 P 1.54
O  0.5593  0.9029  0.3966  1 P 1.54
O  0.5910  0.6740  0.8881  1 P 1.54
O  0.7175  0.3430  0.9688  1 P 1.54
O  0.8236  0.6703  0.5754  1 P 1.54
O  0.8358  0.0542  0.0578  1 P 1.53
O  0.9953  0.3176  0.6589  1 P 1.54

## Properties
MP2020-corrected energy   -8.16 eV per atom
Formation enthalpy at 0 K   -2.330 eV/atom

Entry 5:
# PbCO3

A relaxed PbCO3 crystal (PBE, the Materials Project).

abc: 6.2828 5.2260 8.6187
angles: 90.00 90.00 90.00
Last column: nearest neighbours and their distance in Å.
Atoms (fractional coordinates):
Pb  0.2478  0.2500  0.0822  9 O 2.61-2.81
Pb  0.2522  0.7500  0.5822  9 O 2.61-2.81
Pb  0.7478  0.2500  0.4178  9 O 2.61-2.81
Pb  0.7522  0.7500  0.9178  9 O 2.61-2.81
C  0.0815  0.2500  0.7437  3 O 1.30
C  0.4185  0.7500  0.2437  3 O 1.30
C  0.5815  0.2500  0.7563  3 O 1.30
C  0.9185  0.7500  0.2563  3 O 1.30
O  0.0852  0.0344  0.8194  1 C 1.30
O  0.0852  0.4656  0.8194  1 C 1.30
O  0.0874  0.2500  0.5927  1 C 1.30
O  0.4126  0.7500  0.0927  1 C 1.30
O  0.4148  0.5344  0.3194  1 C 1.30
O  0.4148  0.9656  0.3194  1 C 1.30
O  0.5852  0.0344  0.6806  1 C 1.30
O  0.5852  0.4656  0.6806  1 C 1.30
O  0.5874  0.2500  0.9073  1 C 1.30
O  0.9126  0.7500  0.4073  1 C 1.30
O  0.9148  0.5344  0.1806  1 C 1.30
O  0.9148  0.9656  0.1806  1 C 1.30

## Properties
MP2020-corrected energy   -7.37 eV per atom
Formation enthalpy at 0 K   -1.809 eV/atom

Entry 6:
# PbC4O5

A relaxed PbC4O5 crystal (PBE, the Materials Project).

abc: 9.9973 4.0098 16.1019
angles: 90.00 120.69 90.00
Last column: nearest neighbours and their distance in Å.
Atoms (fractional coordinates):
Pb  0.1748  0.2388  0.2128  6 O 2.41-2.62
Pb  0.1748  0.2612  0.7128  6 O 2.41-2.62
Pb  0.8252  0.7388  0.2872  6 O 2.41-2.62
Pb  0.8252  0.7612  0.7872  6 O 2.41-2.62
C  0.1364  0.0601  0.4179  2 O 1.27-1.29
C  0.1364  0.4399  0.9179  2 O 1.27-1.29
C  0.2857  0.1894  0.4897  1 C 1.22
C  0.2857  0.3106  0.9897  1 C 1.22
C  0.4088  0.2078  0.0556  1 C 1.22
C  0.4088  0.2922  0.5556  1 C 1.22
C  0.4504  0.5743  0.3641  2 O 1.27-1.28
C  0.4504  0.9257  0.8641  2 O 1.27-1.28
C  0.5496  0.0743  0.1359  2 O 1.27-1.28
C  0.5496  0.4257  0.6359  2 O 1.27-1.28
C  0.5912  0.7078  0.4444  1 C 1.22
C  0.5912  0.7922  0.9444  1 C 1.22
C  0.7143  0.6894  0.0103  1 C 1.22
C  0.7143  0.8106  0.5103  1 C 1.22
C  0.8636  0.5601  0.0821  2 O 1.27-1.29
C  0.8636  0.9399  0.5821  2 O 1.27-1.29
O  0.0681  0.1676  0.3303  1 C 1.29
O  0.0681  0.3324  0.8303  1 C 1.29
O  0.0744  0.6558  0.9456  1 C 1.27
O  0.0744  0.8442  0.4456  1 C 1.27
O  0.2208  0.7388  0.1483  2 Pb 2.41
O  0.2208  0.7612  0.6483  2 Pb 2.41
O  0.3189  0.6993  0.3436  1 C 1.28
O  0.3189  0.8007  0.8436  1 C 1.28
O  0.4647  0.1672  0.8182  1 C 1.27
O  0.4647  0.3328  0.3182  1 C 1.27
O  0.5353  0.6672  0.6818  1 C 1.27
O  0.5353  0.8328  0.1818  1 C 1.27
O  0.6811  0.1993  0.1564  1 C 1.28
O  0.6811  0.3007  0.6564  1 C 1.28
O  0.7792  0.2388  0.3517  2 Pb 2.41
O  0.7792  0.2612  0.8517  2 Pb 2.41
O  0.9256  0.1558  0.5544  1 C 1.27
O  0.9256  0.3442  0.0544  1 C 1.27
O  0.9319  0.6676  0.1697  1 C 1.29
O  0.9319  0.8324  0.6697  1 C 1.29

## Properties
MP2020-corrected energy   -7.22 eV per atom
Formation enthalpy at 0 K   -0.680 eV/atom

Entry 7:
# PbCO3

A relaxed PbCO3 crystal (PBE, the Materials Project).

abc: 5.2602 8.5654 6.2813
angles: 90.00 90.08 90.00
Last column: nearest neighbours and their distance in Å.
Atoms (fractional coordinates):
Pb  0.2480  0.0801  0.2506  9 O 2.59-2.83
Pb  0.2480  0.4199  0.7506  9 O 2.59-2.83
Pb  0.7520  0.5801  0.2494  9 O 2.59-2.83
Pb  0.7520  0.9199  0.7494  9 O 2.59-2.83
C  0.2581  0.7276  0.4064  3 O 1.30-1.31
C  0.2581  0.7724  0.9064  3 O 1.30-1.31
C  0.7419  0.2276  0.0936  3 O 1.30-1.31
C  0.7419  0.2724  0.5936  3 O 1.30-1.31
O  0.0448  0.6963  0.9056  1 C 1.30
O  0.0448  0.8037  0.4056  1 C 1.30
O  0.2567  0.5753  0.3962  1 C 1.31
O  0.2567  0.9247  0.8962  1 C 1.31
O  0.4733  0.6978  0.9059  1 C 1.30
O  0.4733  0.8022  0.4059  1 C 1.30
O  0.5267  0.1978  0.5941  1 C 1.30
O  0.5267  0.3022  0.0941  1 C 1.30
O  0.7433  0.0753  0.1038  1 C 1.31
O  0.7433  0.4247  0.6038  1 C 1.31
O  0.9552  0.1963  0.5944  1 C 1.30
O  0.9552  0.3037  0.0944  1 C 1.30

## Properties
MP2020-corrected energy   -7.36 eV per atom
Formation enthalpy at 0 K   -1.807 eV/atom

Entry 8:
# Pb2CS2O6

A relaxed Pb2CS2O6 crystal (PBE, the Materials Project).

abc: 16.5827 8.9077 4.6767
angles: 90.00 90.00 90.00
Last column: nearest neighbours and their distance in Å.
Atoms (fractional coordinates):
Pb  0.1365  0.0140  0.0855  5 O 2.44-2.72
Pb  0.1365  0.4860  0.0855  5 O 2.44-2.72
Pb  0.3635  0.5140  0.5855  5 O 2.44-2.72
Pb  0.3635  0.9860  0.5855  5 O 2.44-2.72
Pb  0.6365  0.0140  0.4145  5 O 2.44-2.72
Pb  0.6365  0.4860  0.4145  5 O 2.44-2.72
Pb  0.8635  0.5140  0.9145  5 O 2.44-2.72
Pb  0.8635  0.9860  0.9145  5 O 2.44-2.72
C  0.2123  0.2500  0.6214  3 O 1.30-1.31
C  0.2877  0.7500  0.1214  3 O 1.30-1.31
C  0.7123  0.2500  0.8786  3 O 1.30-1.31
C  0.7877  0.7500  0.3786  3 O 1.30-1.31
S  0.0030  0.2500  0.5753  3 O 1.49
S  0.1133  0.7500  0.5699  1 S 2.04
S  0.3867  0.2500  0.0699  1 S 2.04
S  0.4970  0.7500  0.0753  3 O 1.49
S  0.5030  0.2500  0.9247  3 O 1.49
S  0.6133  0.7500  0.9301  1 S 2.04
S  0.8867  0.2500  0.4301  1 S 2.04
S  0.9970  0.7500  0.4247  3 O 1.49
O  0.0134  0.1114  0.7480  1 S 1.49
O  0.0134  0.3886  0.7480  1 S 1.49
O  0.0607  0.2500  0.3302  1 S 1.49
O  0.1867  0.2500  0.8863  1 C 1.31
O  0.2249  0.1217  0.4975  1 C 1.30
O  0.2249  0.3783  0.4975  1 C 1.30
O  0.2751  0.6217  0.9975  1 C 1.30
O  0.2751  0.8783  0.9975  1 C 1.30
O  0.3133  0.7500  0.3863  1 C 1.31
O  0.4393  0.7500  0.8302  1 S 1.49
O  0.4866  0.6114  0.2480  1 S 1.49
O  0.4866  0.8886  0.2480  1 S 1.49
O  0.5134  0.1114  0.7520  1 S 1.49
O  0.5134  0.3886  0.7520  1 S 1.49
O  0.5607  0.2500  0.1698  1 S 1.49
O  0.6867  0.2500  0.6137  1 C 1.31
O  0.7249  0.1217  0.0025  1 C 1.30
O  0.7249  0.3783  0.0025  1 C 1.30
O  0.7751  0.6217  0.5025  1 C 1.30
O  0.7751  0.8783  0.5025  1 C 1.30
O  0.8133  0.7500  0.1137  1 C 1.31
O  0.9393  0.7500  0.6698  1 S 1.49
O  0.9866  0.6114  0.2520  1 S 1.49
O  0.9866  0.8886  0.2520  1 S 1.49

## Properties
MP2020-corrected energy   -6.56 eV per atom
Formation enthalpy at 0 K   -1.591 eV/atom